Crystalline Al5HO8 at its relaxed geometry, computed with PBE.

Cell lengths 5.633, 5.633, 8.847 Å; angles 90.00, 90.00, 120.00 degrees
Fractional coordinates of all 28 atoms:
O 0.331 0.166 0.263
O 0.166 0.834 0.763
O 0.166 0.331 0.763
O 0.029 0.514 0.501
O 0.834 0.669 0.263
O 0.486 0.971 0.501
O 0.514 0.486 0.001
O 0.667 0.333 0.755
O 0.000 0.000 0.984
O 0.000 0.000 0.484
O 0.669 0.834 0.763
O 0.834 0.166 0.263
O 0.971 0.486 0.001
O 0.486 0.514 0.501
O 0.333 0.667 0.255
O 0.514 0.029 0.001
Al 0.166 0.331 0.366
Al 0.669 0.834 0.366
Al 0.834 0.166 0.866
Al 0.331 0.166 0.866
Al 0.333 0.667 0.047
Al 0.166 0.834 0.366
Al 0.667 0.333 0.160
Al 0.834 0.669 0.866
Al 0.667 0.333 0.547
Al 0.333 0.667 0.660
H 0.000 0.000 0.097
H 0.000 0.000 0.597

Computed properties:
Polymorph energy (0 for the lowest one) (eV per formula unit): 0.00

---

Crystalline Ga2SeS at its relaxed geometry, computed with PBE.

Cell lengths 3.727, 3.727, 16.273 Å; angles 90.00, 90.00, 120.00 degrees
Fractional coordinates of all 8 atoms:
S 0.667 0.333 0.107
S 0.333 0.667 0.893
Ga 0.333 0.667 0.171
Ga 0.667 0.333 0.677
Ga 0.333 0.667 0.323
Ga 0.667 0.333 0.829
Se 0.667 0.333 0.397
Se 0.333 0.667 0.603

Computed properties:
DFT total energy (eV per atom): -4.0263